A geometry-optimized TlMo3Se3 structure. Source: the Materials Project database, functional r2SCAN.

Properties
- Spin magnetization: 0.00 μB per cell
- ΔH_f (0 K): -581 meV/atom

a b c (Å): 9.1516 9.1516 4.4983
angles (deg): 90.00 90.00 120.00
Space group P6_3/m (No. 176)
Symmetry-distinct sites (fractional):
Tl: 0.3333 0.6667 0.2500 [2 per cell]
Mo: 0.0319 0.1801 0.2500 [6 per cell]
Se: 0.0653 0.3599 0.7500 [6 per cell]

=====

A geometry-optimized Si3Mo5 structure. Source: the Materials Project database, functional r2SCAN.

Properties
- Spin magnetization: 0.00 μB per cell
- ΔH_f (0 K): -399 meV/atom

a b c (Å): 9.646 9.646 4.897
angles (deg): 90.00 90.00 90.00
Space group I4/mcm (No. 140)
Symmetry-distinct sites (fractional):
Si: 0.000 0.000 0.250 [4 per cell]
Si: 0.167 0.333 0.000 [8 per cell]
Mo: 0.000 0.500 0.250 [4 per cell]
Mo: 0.077 0.224 0.500 [16 per cell]

=====

A geometry-optimized Ti2Si6Mo structure. Source: the Materials Project database, functional r2SCAN.

Properties
- Spin magnetization: 0.00 μB per cell
- ΔH_f (0 K): -501 meV/atom

a b c (Å): 4.687 8.123 6.486
angles (deg): 90.00 90.00 90.00
Space group C222 (No. 21)
Symmetry-distinct sites (fractional):
Ti: 0.250 0.250 0.166 [4 per cell]
Si: 0.000 0.334 0.500 [4 per cell]
Si: 0.236 0.420 0.833 [8 per cell]
Mo: 0.000 0.000 0.500 [2 per cell]

=====

A geometry-optimized U2Si4Mo3 structure. Source: the Materials Project database, functional r2SCAN.

Properties
- Spin magnetization: 8.42 μB per cell
- ΔH_f (0 K): -494 meV/atom

a b c (Å): 6.900 6.931 6.726
angles (deg): 90.00 109.42 90.00
Space group P2_1/c (No. 14)
Symmetry-distinct sites (fractional):
U: 0.188 0.166 0.059 [4 per cell]
Si: 0.092 0.543 0.874 [4 per cell]
Si: 0.497 0.633 0.631 [4 per cell]
Mo: 0.243 0.665 0.254 [4 per cell]
Mo: 0.500 0.000 0.500 [2 per cell]

=====

A geometry-optimized Y2Si4Mo3 structure. Source: the Materials Project database, functional r2SCAN.

Properties
- Spin magnetization: 0.00 μB per cell
- ΔH_f (0 K): -686 meV/atom

a b c (Å): 6.847 6.914 6.737
angles (deg): 90.00 108.84 90.00
Space group P2_1/c (No. 14)
Symmetry-distinct sites (fractional):
Y: 0.191 0.170 0.063 [4 per cell]
Si: 0.091 0.546 0.869 [4 per cell]
Si: 0.494 0.631 0.627 [4 per cell]
Mo: 0.250 0.662 0.249 [4 per cell]
Mo: 0.500 0.000 0.500 [2 per cell]

=====

A geometry-optimized ZrSiMo structure. Source: the Materials Project database, functional r2SCAN.

Properties
- Spin magnetization: 0.00 μB per cell
- ΔH_f (0 K): -765 meV/atom

a b c (Å): 6.988 3.525 8.219
angles (deg): 90.00 90.00 90.00
Space group Pnma (No. 62)
Symmetry-distinct sites (fractional):
Zr: 0.043 0.250 0.168 [4 per cell]
Si: 0.243 0.750 0.363 [4 per cell]
Mo: 0.131 0.250 0.561 [4 per cell]

=====

A geometry-optimized Ta2MoW structure. Source: the Materials Project database, functional r2SCAN.

Properties
- Spin magnetization: 0.00 μB per cell
- ΔH_f (0 K): -137 meV/atom

a b c (Å): 6.450 6.450 6.450
angles (deg): 90.00 90.00 90.00
Space group Fm-3m (No. 225)
Symmetry-distinct sites (fractional):
Ta: 0.250 0.250 0.250 [8 per cell]
Mo: 0.000 0.000 0.000 [4 per cell]
W: 0.000 0.000 0.500 [4 per cell]

=====

A geometry-optimized TaMoW structure. Source: the Materials Project database, functional r2SCAN.

Properties
- Spin magnetization: 0.00 μB per cell
- ΔH_f (0 K): -70 meV/atom

a b c (Å): 3.204 4.572 13.494
angles (deg): 90.00 90.00 90.00
Space group Fmm2 (No. 42)
Symmetry-distinct sites (fractional):
Ta: 0.000 0.000 0.000 [4 per cell]
Mo: 0.000 0.000 0.669 [4 per cell]
W: 0.000 0.000 0.330 [4 per cell]

=====

A geometry-optimized Te2Mo structure. Source: the Materials Project database, functional r2SCAN.

Properties
- Spin magnetization: 0.00 μB per cell
- ΔH_f (0 K): -301 meV/atom

a b c (Å): 3.5614 3.5614 38.9903
angles (deg): 90.00 90.00 120.00
Space group P-3m1 (No. 164)
Symmetry-distinct sites (fractional):
Te: 0.3333 0.6667 0.2364 [2 per cell]
Te: 0.3333 0.6667 0.3282 [2 per cell]
Te: 0.3333 0.6667 0.8599 [2 per cell]
Te: 0.3333 0.6667 0.9518 [2 per cell]
Mo: 0.3333 0.6667 0.0941 [2 per cell]
Mo: 0.3333 0.6667 0.7177 [2 per cell]

=====

A geometry-optimized Te2Mo structure. Source: the Materials Project database, functional r2SCAN.

Properties
- Spin magnetization: 0.00 μB per cell
- ΔH_f (0 K): -300 meV/atom

a b c (Å): 3.5624 3.5624 31.5633
angles (deg): 90.00 90.00 120.00
Space group P-6m2 (No. 187)
Symmetry-distinct sites (fractional):
Te: 0.0000 0.0000 0.0568 [2 per cell]
Te: 0.3333 0.6667 0.1756 [2 per cell]
Te: 0.3333 0.6667 0.2890 [2 per cell]
Mo: 0.0000 0.0000 0.2323 [2 per cell]
Mo: 0.3333 0.6667 0.0000 [1 per cell]

=====

A geometry-optimized Te2Mo structure. Source: the Materials Project database, functional r2SCAN.

Properties
- Spin magnetization: 0.00 μB per cell
- ΔH_f (0 K): -307 meV/atom

a b c (Å): 3.5657 3.5657 14.6478
angles (deg): 90.00 90.00 120.00
Space group P6_3/mmc (No. 194)
Symmetry-distinct sites (fractional):
Te: 0.3333 0.6667 0.1278 [4 per cell]
Mo: 0.3333 0.6667 0.7500 [2 per cell]

=====

A geometry-optimized Te2Mo structure. Source: the Materials Project database, functional r2SCAN.

Properties
- Spin magnetization: 0.00 μB per cell
- ΔH_f (0 K): -296 meV/atom

a b c (Å): 3.5604 3.5604 24.8113
angles (deg): 90.00 90.00 120.00
Space group P-3m1 (No. 164)
Symmetry-distinct sites (fractional):
Te: 0.3333 0.6667 0.0794 [2 per cell]
Te: 0.3333 0.6667 0.2236 [2 per cell]
Mo: 0.3333 0.6667 0.8485 [2 per cell]

=====

A geometry-optimized Te2Mo structure. Source: the Materials Project database, functional r2SCAN.

Properties
- Spin magnetization: 0.00 μB per cell
- ΔH_f (0 K): -293 meV/atom

a b c (Å): 6.346 3.494 14.866
angles (deg): 90.00 92.12 90.00
Space group Pm (No. 6)
Symmetry-distinct sites (fractional):
Te: 0.000 0.000 0.000 [1 per cell]
Te: 0.013 0.500 0.737 [1 per cell]
Te: 0.148 0.000 0.461 [1 per cell]
Te: 0.162 0.500 0.197 [1 per cell]
Te: 0.490 0.500 0.961 [1 per cell]
Te: 0.517 0.000 0.698 [1 per cell]
Te: 0.644 0.500 0.500 [1 per cell]
Te: 0.672 0.000 0.237 [1 per cell]
Mo: 0.260 0.500 0.592 [1 per cell]
Mo: 0.400 0.000 0.092 [1 per cell]
Mo: 0.762 0.500 0.105 [1 per cell]
Mo: 0.900 0.000 0.606 [1 per cell]

=====

A geometry-optimized Te2Mo structure. Source: the Materials Project database, functional r2SCAN.

Properties
- Spin magnetization: 0.00 μB per cell
- ΔH_f (0 K): -286 meV/atom

a b c (Å): 3.5602 3.5602 17.5241
angles (deg): 90.00 90.00 120.00
Space group P-6m2 (No. 187)
Symmetry-distinct sites (fractional):
Te: 0.0000 0.0000 0.1021 [2 per cell]
Mo: 0.6667 0.3333 0.0000 [1 per cell]

=====

A geometry-optimized VMo structure. Source: the Materials Project database, functional r2SCAN.

Properties
- Spin magnetization: 0.00 μB per cell
- ΔH_f (0 K): -102 meV/atom

a b c (Å): 3.075 4.448 4.229
angles (deg): 90.00 90.00 90.00
Space group Cmmm (No. 65)
Symmetry-distinct sites (fractional):
V: 0.000 0.000 0.000 [2 per cell]
Mo: 0.000 0.500 0.500 [2 per cell]

=====

A geometry-optimized V2MoW structure. Source: the Materials Project database, functional r2SCAN.

Properties
- Spin magnetization: 0.00 μB per cell
- ΔH_f (0 K): -90 meV/atom

a b c (Å): 6.131 6.131 6.131
angles (deg): 90.00 90.00 90.00
Space group Fm-3m (No. 225)
Symmetry-distinct sites (fractional):
V: 0.250 0.250 0.250 [8 per cell]
Mo: 0.000 0.000 0.000 [4 per cell]
W: 0.000 0.000 0.500 [4 per cell]

=====

A geometry-optimized MoW structure. Source: the Materials Project database, functional r2SCAN.

Properties
- Spin magnetization: 0.00 μB per cell
- ΔH_f (0 K): 0 meV/atom

a b c (Å): 3.159 4.469 4.487
angles (deg): 90.00 90.00 90.00
Space group Cmmm (No. 65)
Symmetry-distinct sites (fractional):
Mo: 0.000 0.000 0.000 [2 per cell]
W: 0.000 0.500 0.500 [2 per cell]

=====

A geometry-optimized Yb3Mo structure. Source: the Materials Project database, functional r2SCAN.

Properties
- Spin magnetization: 0.05 μB per cell
- ΔH_f (0 K): 323 meV/atom

a b c (Å): 7.215 7.215 7.215
angles (deg): 90.00 90.00 90.00
Space group Fm-3m (No. 225)
Symmetry-distinct sites (fractional):
Yb: 0.000 0.000 0.000 [4 per cell]
Yb: 0.250 0.250 0.250 [8 per cell]
Mo: 0.000 0.000 0.500 [4 per cell]

=====

A geometry-optimized Zn6Mo structure. Source: the Materials Project database, functional r2SCAN.

Properties
- Spin magnetization: 0.84 μB per cell
- ΔH_f (0 K): -35 meV/atom

a b c (Å): 7.627 7.627 7.627
angles (deg): 90.00 90.00 90.00
Space group Fm-3m (No. 225)
Symmetry-distinct sites (fractional):
Zn: 0.000 0.250 0.250 [24 per cell]
Mo: 0.000 0.000 0.000 [4 per cell]

=====

A geometry-optimized Zn7Mo structure. Source: the Materials Project database, functional r2SCAN.

Properties
- Spin magnetization: 0.00 μB per cell
- ΔH_f (0 K): -4 meV/atom

a b c (Å): 7.708 7.708 7.708
angles (deg): 90.00 90.00 90.00
Space group Fm-3m (No. 225)
Symmetry-distinct sites (fractional):
Zn: 0.000 0.000 0.000 [4 per cell]
Zn: 0.000 0.250 0.250 [24 per cell]
Mo: 0.000 0.000 0.500 [4 per cell]